Model 1:
Here is crystalline Ta2H at its relaxed geometry from Materials Project. Energies are from meta-GGA r2SCAN.

Unit cell a=3.4410 b=4.7429 c=4.7586 alpha=90.00 beta=90.00 gamma=90.00
Closest atoms and distances in Å follow each position.
Space group C222 (No. 21)
Asymmetric unit:
Ta 0.2500 0.2500 0.2354 x4  2 H 1.93
H 0.0000 0.5000 0.5000 x2  4 Ta 1.93



Model 2:
Here is crystalline Ta2H at its relaxed geometry from Materials Project. Energies are from meta-GGA r2SCAN.

Unit cell a=3.3724 b=3.3724 c=3.4101 alpha=90.00 beta=90.00 gamma=90.00
Closest atoms and distances in Å follow each position.
Space group P-4m2 (No. 115)
Asymmetric unit:
Ta 0.0000 0.5000 0.2413 x2  2 H 1.90
H 0.5000 0.5000 0.5000 x1  4 Ta 1.90



Model 3:
Here is crystalline Ta2H at its relaxed geometry from Materials Project. Energies are from meta-GGA r2SCAN.

Unit cell a=4.8510 b=3.2483 c=4.8839 alpha=90.00 beta=96.98 gamma=90.00
Closest atoms and distances in Å follow each position.
Space group C2/m (No. 12)
Asymmetric unit:
Ta 0.2336 0.0000 0.2626 x4  1 H 1.93
H 0.0000 0.5000 0.0000 x2  2 Ta 1.93



Taking the most stable structure as the zero point, the relative energies in eV/atom are model 1 0.000; model 2 0.040; model 3 0.069.



Model 1:
Here is crystalline Hf at its relaxed geometry from Materials Project. Energies are from meta-GGA r2SCAN.

Unit cell a=4.9623 b=4.9623 c=3.0862 alpha=90.00 beta=90.00 gamma=120.00
Closest atoms and distances in Å follow each position.
Space group P6/mmm (No. 191)
Asymmetric unit:
Hf 0.0000 0.0000 0.0000 x1  14 Hf 3.09-3.25
Hf 0.3333 0.6667 0.5000 x2  5 Hf 2.86-3.09



Model 2:
Here is crystalline Hf at its relaxed geometry from Materials Project. Energies are from meta-GGA r2SCAN.

Unit cell a=3.1924 b=3.1924 c=5.0450 alpha=90.00 beta=90.00 gamma=120.00
Closest atoms and distances in Å follow each position.
Space group P6_3/mmc (No. 194)
Asymmetric unit:
Hf 0.3333 0.6667 0.2500 x2  12 Hf 3.12-3.19



Taking the most stable structure as the zero point, the relative energies in eV/atom are model 1 0.032; model 2 0.000.